Entry 1:
Density functional theory data (PBE-GGA) for crystalline MgCd at its relaxed geometry. Values from VASP.

Results
SG: Pm-3m, No. 221
Calculated formation energy in eV per atom: -0.0852
Calculated density in g/cm³: 5.27

Structure (Quantum ESPRESSO input):
```
&SYSTEM
  ibrav = 0, nat = 2, ntyp = 2
/
ATOMIC_SPECIES
Mg 24.30 Mg.upf
Cd 112.41 Cd.upf
CELL_PARAMETERS angstrom
-3.254 -0.965 -0.877
-0.736 -0.587 3.377
-1.077 3.319 0.342
ATOMIC_POSITIONS crystal
Mg 0.500 0.500 0.500
Cd 0.000 0.000 0.000
```


Entry 2:
Density functional theory data (PBE-GGA) for crystalline SrCaTbBiO6 at its relaxed geometry. Values from VASP.

Results
SG: P-1, No. 2
Calculated formation energy in eV per atom: -2.8452
Spin magnetization in μB/cell: 0.0
Calculated density in g/cm³: 6.58
Energy relative to the lowest polymorph listed for this composition in kJ/mol of formula units: 0

Structure (Quantum ESPRESSO input):
```
&SYSTEM
  ibrav = 0, nat = 20, ntyp = 5
/
ATOMIC_SPECIES
Sr 87.62 Sr.upf
Ca 40.08 Ca.upf
Tb 158.93 Tb.upf
Bi 208.98 Bi.upf
O 16.00 O.upf
CELL_PARAMETERS angstrom
-2.471 5.326 -0.020
-3.632 -1.686 -4.520
-5.736 -2.613 5.579
ATOMIC_POSITIONS crystal
Sr 0.511 0.551 0.250
Sr 0.489 0.449 0.750
Ca 0.986 0.049 0.248
Ca 0.014 0.951 0.752
Tb 0.500 0.000 0.000
Tb 0.000 0.500 0.500
Bi 0.000 0.500 0.000
Bi 0.500 0.000 0.500
O 0.185 0.204 0.937
O 0.310 0.708 0.554
O 0.815 0.796 0.063
O 0.690 0.292 0.446
O 0.295 0.696 0.949
O 0.204 0.192 0.564
O 0.705 0.304 0.051
O 0.796 0.808 0.436
O 0.380 0.966 0.259
O 0.098 0.441 0.242
O 0.620 0.034 0.741
O 0.902 0.559 0.758
```


Entry 3:
Density functional theory data (PBE-GGA) for crystalline Gd2GaAg at its relaxed geometry. Values from VASP.

Results
SG: Fm-3m, No. 225
Calculated formation energy in eV per atom: -0.4583
Calculated density in g/cm³: 8.34

Structure (Quantum ESPRESSO input):
```
&SYSTEM
  ibrav = 0, nat = 4, ntyp = 3
/
ATOMIC_SPECIES
Gd 157.25 Gd.upf
Ga 69.72 Ga.upf
Ag 107.87 Ag.upf
CELL_PARAMETERS angstrom
-2.573 -4.490 -0.030
-3.985 -0.720 3.223
-4.826 -0.204 -1.858
ATOMIC_POSITIONS crystal
Gd 0.750 0.750 0.750
Gd 0.250 0.250 0.250
Ga 0.000 0.000 0.000
Ag 0.500 0.500 0.500
```


Entry 4:
Density functional theory data (PBE-GGA) for crystalline Li2Mo15Se19 at its relaxed geometry. Values from VASP.

Results
SG: R-3c, No. 167
Calculated formation energy in eV per atom: -0.7873
Spin magnetization in μB/cell: 0.3
Calculated density in g/cm³: 6.12

Structure (Quantum ESPRESSO input):
```
&SYSTEM
  ibrav = 0, nat = 72, ntyp = 3
/
ATOMIC_SPECIES
Li 6.94 Li.upf
Mo 95.94 Mo.upf
Se 78.96 Se.upf
CELL_PARAMETERS angstrom
-4.864 -8.425 0.000
4.864 -8.425 0.000
0.000 -5.616 19.565
ATOMIC_POSITIONS crystal
Li 0.614 0.614 0.158
Li 0.114 0.114 0.658
Li 0.386 0.386 0.842
Li 0.886 0.886 0.342
Mo 0.498 0.689 0.441
Mo 0.689 0.372 0.441
Mo 0.372 0.498 0.441
Mo 0.998 0.872 0.941
Mo 0.872 0.189 0.941
Mo 0.189 0.998 0.941
Mo 0.502 0.311 0.559
Mo 0.311 0.628 0.559
Mo 0.628 0.502 0.559
Mo 0.002 0.128 0.059
Mo 0.128 0.811 0.059
Mo 0.811 0.002 0.059
Mo 0.726 0.861 0.867
Mo 0.861 0.547 0.867
Mo 0.547 0.726 0.867
Mo 0.226 0.047 0.367
Mo 0.047 0.361 0.367
Mo 0.361 0.226 0.367
Mo 0.274 0.139 0.133
Mo 0.139 0.453 0.133
Mo 0.453 0.274 0.133
Mo 0.774 0.953 0.633
Mo 0.953 0.639 0.633
Mo 0.639 0.774 0.633
Mo 0.590 0.910 0.750
Mo 0.910 0.750 0.750
Mo 0.750 0.590 0.750
Mo 0.090 0.250 0.250
Mo 0.250 0.410 0.250
Mo 0.410 0.090 0.250
Se 0.803 0.557 0.450
Se 0.557 0.189 0.450
Se 0.189 0.803 0.450
Se 0.303 0.689 0.950
Se 0.689 0.057 0.950
Se 0.057 0.303 0.950
Se 0.197 0.443 0.550
Se 0.443 0.811 0.550
Se 0.811 0.197 0.550
Se 0.697 0.311 0.050
Se 0.311 0.943 0.050
Se 0.943 0.697 0.050
Se 0.420 0.044 0.856
Se 0.044 0.679 0.856
Se 0.679 0.420 0.856
Se 0.920 0.179 0.356
Se 0.179 0.544 0.356
Se 0.544 0.920 0.356
Se 0.580 0.956 0.144
Se 0.956 0.321 0.144
Se 0.321 0.580 0.144
Se 0.080 0.821 0.644
Se 0.821 0.456 0.644
Se 0.456 0.080 0.644
Se 0.059 0.441 0.750
Se 0.441 0.750 0.750
Se 0.750 0.059 0.750
Se 0.559 0.250 0.250
Se 0.250 0.941 0.250
Se 0.941 0.559 0.250
Se 0.555 0.555 0.336
Se 0.055 0.055 0.836
Se 0.445 0.445 0.664
Se 0.945 0.945 0.164
Se 0.676 0.676 0.972
Se 0.176 0.176 0.472
Se 0.324 0.324 0.028
Se 0.824 0.824 0.528
```


Entry 5:
Density functional theory data (PBE-GGA) for crystalline EuCu2Sn2 at its relaxed geometry. Values from VASP.

Results
SG: C2/m, No. 12
Calculated formation energy in eV per atom: -0.3676
Calculated density in g/cm³: 7.76

Structure (Quantum ESPRESSO input):
```
&SYSTEM
  ibrav = 0, nat = 5, ntyp = 3
/
ATOMIC_SPECIES
Eu 151.96 Eu.upf
Cu 63.55 Cu.upf
Sn 118.71 Sn.upf
CELL_PARAMETERS angstrom
2.158 5.574 0.000
-2.158 5.574 0.000
0.000 1.554 4.594
ATOMIC_POSITIONS crystal
Eu 0.000 0.000 0.000
Cu 0.739 0.739 0.861
Cu 0.261 0.261 0.139
Sn 0.357 0.357 0.571
Sn 0.643 0.643 0.429
```


Entry 6:
Density functional theory data (PBE-GGA) for crystalline LiCeTi4O12 at its relaxed geometry. Values from VASP.

Results
SG: Amm2, No. 38
Calculated formation energy in eV per atom: -3.0151
Spin magnetization in μB/cell: 3.0
Calculated density in g/cm³: 4.01

Structure (Quantum ESPRESSO input):
```
&SYSTEM
  ibrav = 0, nat = 18, ntyp = 4
/
ATOMIC_SPECIES
Li 6.94 Li.upf
Ce 140.12 Ce.upf
Ti 47.87 Ti.upf
O 16.00 O.upf
CELL_PARAMETERS angstrom
-3.293 3.363 2.492
1.287 -2.246 4.655
5.803 5.061 0.837
ATOMIC_POSITIONS crystal
Li 0.981 0.019 0.000
Ce 0.525 0.475 0.500
Ti 0.489 0.987 0.229
Ti 0.489 0.987 0.771
Ti 0.013 0.511 0.771
Ti 0.013 0.511 0.229
O 0.302 0.301 0.270
O 0.699 0.698 0.270
O 0.699 0.698 0.730
O 0.302 0.301 0.730
O 0.187 0.813 0.187
O 0.771 0.229 0.310
O 0.771 0.229 0.690
O 0.187 0.813 0.813
O 0.592 0.024 0.000
O 0.448 0.933 0.500
O 0.976 0.408 0.000
O 0.067 0.552 0.500
```


Entry 7:
Density functional theory data (PBE-GGA) for crystalline Na2Hf4Al4Si3S9O48 at its relaxed geometry. Values from VASP.

Results
SG: P1, No. 1
Calculated formation energy in eV per atom: -2.6280
Spin magnetization in μB/cell: 0.0
Calculated density in g/cm³: 3.42

Structure (Quantum ESPRESSO input):
```
&SYSTEM
  ibrav = 0, nat = 210, ntyp = 6
/
ATOMIC_SPECIES
Na 22.99 Na.upf
Hf 178.49 Hf.upf
Al 26.98 Al.upf
Si 28.09 Si.upf
S 32.06 S.upf
O 16.00 O.upf
CELL_PARAMETERS angstrom
17.327 -0.003 -0.107
-4.333 7.506 0.013
-0.137 -0.041 22.516
ATOMIC_POSITIONS crystal
Na 0.995 0.007 0.500
Na 0.496 0.987 0.004
Na 0.330 0.325 0.842
Na 0.826 0.330 0.834
Na 0.329 0.324 0.333
Na 0.820 0.319 0.338
Hf 0.510 0.013 0.357
Hf 0.003 0.998 0.860
Hf 0.506 0.021 0.644
Hf 0.005 0.989 0.145
Hf 0.339 0.336 0.688
Hf 0.832 0.335 0.688
Hf 0.334 0.331 0.189
Hf 0.835 0.335 0.192
Hf 0.164 0.676 0.024
Hf 0.660 0.662 0.024
Hf 0.160 0.659 0.523
Hf 0.665 0.656 0.522
Al 0.003 0.001 0.350
Al 0.504 0.006 0.851
Al 0.996 0.009 0.645
Al 0.500 0.969 0.150
Al 0.332 0.332 0.983
Al 0.831 0.338 0.984
Al 0.335 0.329 0.478
Al 0.834 0.325 0.477
Al 0.168 0.674 0.310
Al 0.669 0.660 0.311
Al 0.172 0.686 0.817
Al 0.665 0.657 0.811
Si 0.145 0.993 0.258
Si 0.643 0.979 0.251
Si 0.645 0.296 0.757
Si 0.474 0.333 0.578
Si 0.969 0.316 0.581
Si 0.468 0.624 0.080
Si 0.972 0.613 0.080
Si 0.180 0.972 0.916
Si 0.679 0.391 0.414
S 0.352 0.716 0.251
S 0.855 0.720 0.254
S 0.005 0.292 0.256
S 0.505 0.288 0.248
S 0.141 0.297 0.750
S 0.007 0.721 0.749
S 0.503 0.716 0.756
S 0.352 0.985 0.754
S 0.853 0.988 0.750
S 0.186 0.051 0.582
S 0.692 0.052 0.579
S 0.334 0.615 0.580
S 0.841 0.633 0.583
S 0.342 0.052 0.083
S 0.835 0.055 0.080
S 0.192 0.331 0.080
S 0.687 0.322 0.081
S 0.316 0.673 0.912
S 0.806 0.653 0.916
S 0.019 0.386 0.914
S 0.521 0.373 0.913
S 0.667 0.960 0.914
S 0.307 0.958 0.416
S 0.818 0.962 0.413
S 0.168 0.375 0.414
S 0.021 0.669 0.413
S 0.515 0.651 0.416
O 0.095 0.031 0.311
O 0.601 0.027 0.308
O 0.408 0.794 0.304
O 0.912 0.805 0.307
O 0.484 0.175 0.302
O 0.985 0.171 0.307
O 0.102 0.182 0.803
O 0.595 0.159 0.811
O 0.484 0.798 0.807
O 0.990 0.801 0.802
O 0.410 0.019 0.807
O 0.911 0.024 0.803
O 0.391 0.962 0.700
O 0.895 0.961 0.697
O 0.086 0.207 0.697
O 0.588 0.205 0.695
O 0.017 0.831 0.696
O 0.513 0.813 0.700
O 0.392 0.826 0.197
O 0.894 0.825 0.199
O 0.016 0.215 0.200
O 0.512 0.199 0.195
O 0.088 0.969 0.195
O 0.583 0.962 0.192
O 0.431 0.359 0.640
O 0.931 0.356 0.641
O 0.241 0.130 0.637
O 0.743 0.130 0.635
O 0.316 0.504 0.635
O 0.821 0.520 0.637
O 0.429 0.506 0.140
O 0.929 0.500 0.140
O 0.320 0.124 0.136
O 0.816 0.126 0.134
O 0.243 0.355 0.135
O 0.742 0.354 0.135
O 0.231 0.295 0.028
O 0.727 0.290 0.027
O 0.409 0.523 0.022
O 0.912 0.519 0.022
O 0.351 0.160 0.029
O 0.843 0.160 0.026
O 0.225 0.163 0.529
O 0.732 0.166 0.528
O 0.343 0.526 0.527
O 0.854 0.549 0.530
O 0.409 0.304 0.523
O 0.909 0.296 0.524
O 0.279 0.703 0.966
O 0.769 0.685 0.970
O 0.075 0.458 0.968
O 0.578 0.450 0.968
O 0.158 0.846 0.973
O 0.655 0.850 0.968
O 0.268 0.853 0.470
O 0.781 0.859 0.469
O 0.155 0.459 0.469
O 0.662 0.476 0.474
O 0.077 0.705 0.468
O 0.572 0.689 0.470
O 0.065 0.639 0.363
O 0.557 0.622 0.364
O 0.249 0.866 0.364
O 0.760 0.877 0.361
O 0.183 0.489 0.362
O 0.688 0.513 0.357
O 0.063 0.498 0.861
O 0.566 0.492 0.862
O 0.191 0.875 0.857
O 0.682 0.875 0.861
O 0.256 0.640 0.859
O 0.750 0.635 0.863
O 0.010 0.828 0.407
O 0.501 0.805 0.410
O 0.396 0.982 0.409
O 0.909 0.983 0.406
O 0.086 0.197 0.409
O 0.588 0.198 0.410
O 0.007 0.205 0.906
O 0.511 0.191 0.906
O 0.092 0.992 0.907
O 0.585 0.972 0.908
O 0.406 0.835 0.903
O 0.896 0.810 0.908
O 0.480 0.154 0.588
O 0.983 0.144 0.592
O 0.096 0.025 0.592
O 0.601 0.022 0.588
O 0.415 0.786 0.590
O 0.924 0.806 0.594
O 0.479 0.820 0.089
O 0.980 0.807 0.087
O 0.423 0.045 0.093
O 0.916 0.045 0.088
O 0.101 0.179 0.087
O 0.597 0.170 0.088
O 0.340 0.147 0.748
O 0.845 0.151 0.744
O 0.231 0.316 0.744
O 0.744 0.314 0.750
O 0.422 0.531 0.751
O 0.926 0.542 0.744
O 0.343 0.537 0.244
O 0.847 0.540 0.248
O 0.425 0.313 0.244
O 0.926 0.316 0.250
O 0.243 0.173 0.249
O 0.743 0.159 0.244
O 0.325 0.512 0.917
O 0.813 0.489 0.921
O 0.434 0.359 0.921
O 0.929 0.363 0.920
O 0.265 0.169 0.927
O 0.747 0.141 0.922
O 0.312 0.136 0.422
O 0.828 0.143 0.420
O 0.248 0.355 0.424
O 0.765 0.364 0.426
O 0.424 0.490 0.423
O 0.933 0.507 0.422
O 0.187 0.494 0.072
O 0.683 0.488 0.072
O 0.070 0.634 0.076
O 0.568 0.648 0.070
O 0.265 0.869 0.076
O 0.757 0.872 0.072
O 0.180 0.876 0.575
O 0.687 0.880 0.573
O 0.257 0.642 0.573
O 0.766 0.665 0.576
O 0.069 0.490 0.571
O 0.571 0.508 0.576
O 0.154 0.820 0.266
O 0.652 0.809 0.266
O 0.262 0.691 0.261
O 0.766 0.698 0.260
O 0.086 0.465 0.267
O 0.585 0.463 0.257
O 0.150 0.472 0.760
O 0.654 0.488 0.766
O 0.086 0.701 0.758
O 0.582 0.700 0.767
O 0.264 0.825 0.761
O 0.765 0.834 0.760
```